## Tb4CdCo (r²SCAN)

Data for crystalline Tb4CdCo at its relaxed geometry.

Results
ΔE_f	-0.22	eV/atom

abc: 9.485 9.485 9.485
angles: 60.00 60.00 60.00
Positions (direct):
Tb 0.596 0.596 0.211
Tb 0.061 0.439 0.439
Co 0.391 0.828 0.391
Co 0.828 0.391 0.391
Tb 0.439 0.439 0.061
Cd 0.830 0.830 0.830
Tb 0.439 0.061 0.439
Tb 0.189 0.189 0.811
Tb 0.189 0.811 0.189
Tb 0.811 0.811 0.189
Cd 0.830 0.511 0.830
Tb 0.189 0.811 0.811
Cd 0.830 0.830 0.511
Tb 0.061 0.439 0.061
Tb 0.596 0.596 0.596
Tb 0.811 0.189 0.189
Co 0.391 0.391 0.828
Tb 0.211 0.596 0.596
Tb 0.061 0.061 0.439
Cd 0.511 0.830 0.830
Co 0.391 0.391 0.391
Tb 0.596 0.211 0.596
Tb 0.811 0.189 0.811
Tb 0.439 0.061 0.061

## LuMgCd2 (r²SCAN)

Data for crystalline LuMgCd2 at its relaxed geometry.

Results
ΔE_f	-0.29	eV/atom

abc: 4.996 4.996 4.996
angles: 60.00 60.00 60.00
Positions (direct):
Lu 0.250 0.250 0.250
Cd 0.000 0.000 0.000
Cd 0.500 0.500 0.500
Mg 0.750 0.750 0.750

## DyUTe4 (r²SCAN)

Data for crystalline DyUTe4 at its relaxed geometry.

Results
ΔE_f	-1.24	eV/atom

abc: 8.085 8.067 8.067
angles: 149.37 135.49 54.97
Positions (direct):
Te 0.750 0.498 0.252
Te 0.247 0.499 0.748
Te 0.707 0.206 0.500
Te 0.292 0.792 0.500
Dy 0.142 0.141 0.000
U 0.862 0.863 0.999

## DyYMg2 (r²SCAN)

Data for crystalline DyYMg2 at its relaxed geometry.

Results
ΔE_f	-0.10	eV/atom

abc: 5.384 5.384 5.384
angles: 60.00 60.00 60.00
Positions (direct):
Y 0.500 0.500 0.500
Mg 0.250 0.250 0.250
Mg 0.750 0.750 0.750
Dy 0.000 0.000 0.000

## K2S2O7 (r²SCAN)

Data for crystalline K2S2O7 at its relaxed geometry.

Results
ΔE_f	-1.82	eV/atom

abc: 7.122 7.122 7.262
angles: 86.63 86.63 61.40
Positions (direct):
O 0.926 0.074 0.250
O 0.140 0.554 0.727
K 0.500 0.206 0.858
O 0.446 0.860 0.773
O 0.806 0.857 0.426
S 0.923 0.283 0.138
K 0.794 0.500 0.642
O 0.857 0.806 0.926
O 0.345 0.770 0.495
O 0.194 0.143 0.574
O 0.230 0.655 0.005
O 0.770 0.345 0.995
O 0.074 0.926 0.750
O 0.655 0.230 0.505
S 0.717 0.077 0.362
S 0.077 0.717 0.862
K 0.206 0.500 0.358
K 0.500 0.794 0.142
O 0.143 0.194 0.074
S 0.283 0.923 0.638
O 0.860 0.446 0.273
O 0.554 0.140 0.227

## Fe3P3PbO13 (r²SCAN)

Data for crystalline Fe3P3PbO13 at its relaxed geometry.

Results
ΔE_f	-2.09	eV/atom

abc: 6.381 7.597 10.400
angles: 80.13 90.00 90.00
Positions (direct):
P 0.750 0.186 0.385
Fe 0.500 0.500 0.500
O 0.250 0.156 0.883
O 0.446 0.711 0.587
O 0.439 0.868 0.289
O 0.250 0.846 0.758
O 0.250 0.007 0.541
Fe 0.750 0.850 0.302
O 0.750 0.522 0.092
Fe 0.250 0.712 0.942
Pb 0.250 0.165 0.300
O 0.561 0.132 0.711
O 0.939 0.132 0.711
O 0.250 0.478 0.908
Fe 0.250 0.150 0.698
O 0.750 0.621 0.409
O 0.750 0.844 0.117
O 0.558 0.751 0.929
P 0.750 0.717 0.020
O 0.946 0.289 0.413
P 0.250 0.814 0.615
Fe 0.000 0.500 0.500
O 0.250 0.704 0.128
O 0.750 0.993 0.459
O 0.058 0.249 0.071
Fe 0.750 0.288 0.058
O 0.750 0.296 0.872
Pb 0.750 0.835 0.700
P 0.750 0.246 0.737
O 0.250 0.379 0.591
O 0.061 0.868 0.289
O 0.250 0.579 0.367
O 0.442 0.249 0.071
P 0.250 0.283 0.980
O 0.750 0.154 0.242
O 0.054 0.711 0.587
O 0.554 0.289 0.413
O 0.942 0.751 0.929
P 0.250 0.754 0.263
O 0.750 0.421 0.633

## YbCoGe2 (r²SCAN)

Data for crystalline YbCoGe2 at its relaxed geometry.

Results
ΔE_f	-0.57	eV/atom

abc: 8.501 8.501 4.058
angles: 90.00 90.00 152.48
Positions (direct):
Ge 0.749 0.251 0.250
Ge 0.251 0.749 0.750
Co 0.679 0.321 0.750
Yb 0.889 0.111 0.750
Co 0.321 0.679 0.250
Ge 0.456 0.544 0.250
Ge 0.544 0.456 0.750
Yb 0.111 0.889 0.250

## Sr2SbAu (r²SCAN)

Data for crystalline Sr2SbAu at its relaxed geometry.

Results
ΔE_f	-1.05	eV/atom

abc: 5.582 5.582 5.582
angles: 60.00 60.00 60.00
Positions (direct):
Sb 0.000 0.000 0.000
Sr 0.750 0.750 0.750
Au 0.500 0.500 0.500
Sr 0.250 0.250 0.250

## Dy3Al (r²SCAN)

Data for crystalline Dy3Al at its relaxed geometry.

Results
ΔE_f	-0.22	eV/atom

abc: 4.737 4.737 4.737
angles: 90.00 90.00 90.00
Positions (direct):
Dy 0.500 0.000 0.500
Dy 0.000 0.500 0.500
Al 0.000 0.000 0.000
Dy 0.500 0.500 0.000

## Sr2Co2O5 (r²SCAN)

Data for crystalline Sr2Co2O5 at its relaxed geometry.

Results
ΔE_f	-2.09	eV/atom

abc: 5.330 5.408 16.235
angles: 90.00 90.00 90.00
Positions (direct):
O 0.751 0.251 0.997
O 0.394 0.888 0.250
Sr 0.001 0.492 0.389
O 0.249 0.749 0.003
Co 0.500 0.500 0.000
O 0.509 0.524 0.643
Sr 0.501 0.008 0.111
O 0.751 0.251 0.503
Co 0.463 0.438 0.750
O 0.491 0.476 0.357
O 0.991 0.024 0.357
O 0.749 0.751 0.003
Sr 0.999 0.508 0.889
O 0.106 0.388 0.750
O 0.749 0.751 0.497
O 0.251 0.249 0.503
Sr 0.501 0.008 0.389
Sr 0.001 0.492 0.111
Sr 0.999 0.508 0.611
O 0.249 0.749 0.497
O 0.894 0.612 0.250
Co 0.963 0.062 0.750
O 0.509 0.524 0.857
O 0.991 0.024 0.143
O 0.009 0.976 0.643
O 0.491 0.476 0.143
O 0.009 0.976 0.857
Sr 0.499 0.992 0.611
Sr 0.499 0.992 0.889
O 0.251 0.249 0.997
Co 0.037 0.938 0.250
Co 0.000 0.000 0.500
Co 0.500 0.500 0.500
O 0.606 0.112 0.750
Co 0.000 0.000 0.000
Co 0.537 0.562 0.250

## MoP2O8 (r²SCAN)

Data for crystalline MoP2O8 at its relaxed geometry.

Results
ΔE_f	-2.22	eV/atom

abc: 4.893 7.343 7.696
angles: 90.00 90.00 90.00
Positions (direct):
O 0.786 0.359 0.081
O 0.721 0.869 0.552
O 0.214 0.141 0.081
P 0.756 0.362 0.640
P 0.244 0.138 0.640
O 0.251 0.960 0.734
P 0.744 0.862 0.360
O 0.221 0.131 0.448
O 0.779 0.369 0.448
O 0.249 0.460 0.266
O 0.500 0.750 0.277
O 0.000 0.250 0.723
O 0.500 0.250 0.703
O 0.000 0.750 0.297
O 0.749 0.540 0.734
Mo 0.000 0.250 0.215
Mo 0.500 0.750 0.785
O 0.279 0.631 0.552
O 0.286 0.641 0.919
O 0.714 0.859 0.919
P 0.256 0.638 0.360
O 0.751 0.040 0.266

## Cs3AlAs2 (r²SCAN)

Data for crystalline Cs3AlAs2 at its relaxed geometry.

Results
ΔE_f	-0.66	eV/atom

abc: 8.922 11.529 19.591
angles: 80.13 90.00 90.00
Positions (direct):
Cs 0.943 0.083 0.756
Al 0.054 0.537 0.428
Cs 0.443 0.917 0.744
Al 0.387 0.044 0.446
Cs 0.588 0.262 0.578
Cs 0.912 0.262 0.078
Cs 0.023 0.150 0.532
Al 0.113 0.044 0.946
Al 0.446 0.537 0.928
As 0.359 0.597 0.813
Cs 0.557 0.083 0.256
Cs 0.523 0.850 0.968
Al 0.946 0.463 0.572
Al 0.887 0.956 0.054
Cs 0.477 0.150 0.032
As 0.294 0.491 0.032
Al 0.554 0.463 0.072
As 0.794 0.509 0.468
Cs 0.088 0.738 0.922
As 0.709 0.896 0.140
Al 0.613 0.956 0.554
As 0.141 0.597 0.313
As 0.791 0.896 0.640
Cs 0.431 0.376 0.390
Cs 0.057 0.917 0.244
Cs 0.412 0.738 0.422
Cs 0.931 0.624 0.110
As 0.706 0.509 0.968
Cs 0.242 0.361 0.212
As 0.659 0.057 0.436
As 0.209 0.104 0.360
As 0.206 0.491 0.532
Cs 0.883 0.293 0.339
Cs 0.117 0.707 0.661
As 0.859 0.403 0.687
As 0.641 0.403 0.187
Cs 0.977 0.850 0.468
Cs 0.383 0.707 0.161
As 0.159 0.943 0.064
Cs 0.258 0.361 0.712
Cs 0.742 0.639 0.288
As 0.841 0.057 0.936
Cs 0.069 0.376 0.890
Cs 0.617 0.293 0.839
Cs 0.569 0.624 0.610
As 0.291 0.104 0.860
Cs 0.758 0.639 0.788
As 0.341 0.943 0.564

## Tm6CoBi2 (r²SCAN)

Data for crystalline Tm6CoBi2 at its relaxed geometry.

Results
ΔE_f	-0.52	eV/atom

abc: 8.205 8.205 4.086
angles: 90.00 90.00 120.00
Positions (direct):
Tm 0.610 0.000 0.500
Co 0.000 0.000 0.500
Tm 0.000 0.234 0.000
Bi 0.333 0.667 0.000
Bi 0.667 0.333 0.000
Tm 0.766 0.766 0.000
Tm 0.000 0.610 0.500
Tm 0.390 0.390 0.500
Tm 0.234 0.000 0.000

## Ca19Mg8H54 (r²SCAN)

Data for crystalline Ca19Mg8H54 at its relaxed geometry.

Results
ΔE_f	-0.55	eV/atom

abc: 10.529 10.529 10.529
angles: 109.47 109.47 109.47
Positions (direct):
Ca 0.687 0.341 0.654
H 0.057 0.479 0.198
Ca 0.654 0.313 0.967
H 0.521 0.578 0.718
Ca 0.331 0.000 0.331
Mg 0.000 0.000 0.685
Ca 0.000 0.331 0.331
H 0.057 0.859 0.578
H 0.603 0.784 0.181
H 0.802 0.943 0.521
H 0.718 0.890 0.828
Mg 0.000 0.000 0.315
H 0.859 0.802 0.282
H 0.943 0.521 0.802
H 0.198 0.718 0.141
Ca 0.341 0.654 0.687
H 0.282 0.110 0.172
H 0.603 0.421 0.819
H 0.181 0.603 0.784
Ca 0.669 0.669 0.000
H 0.943 0.141 0.422
H 0.718 0.521 0.578
Ca 0.687 0.033 0.346
Mg 0.000 0.315 0.000
H 0.141 0.198 0.718
H 0.579 0.181 0.397
H 0.479 0.198 0.057
H 0.819 0.603 0.421
H 0.062 0.890 0.172
Ca 0.346 0.313 0.659
H 0.500 0.886 0.386
H 0.397 0.216 0.819
Ca 0.654 0.687 0.341
H 0.110 0.828 0.938
H 0.141 0.422 0.943
H 0.828 0.938 0.110
H 0.110 0.172 0.282
Ca 0.033 0.346 0.687
H 0.802 0.282 0.859
H 0.819 0.397 0.216
H 0.422 0.943 0.141
Ca 0.331 0.331 0.000
H 0.718 0.141 0.198
H 0.114 0.614 0.500
Ca 0.000 0.669 0.669
H 0.500 0.114 0.614
H 0.859 0.578 0.057
H 0.421 0.819 0.603
Ca 0.000 0.000 0.000
Ca 0.313 0.659 0.346
H 0.181 0.397 0.579
H 0.890 0.828 0.718
H 0.172 0.282 0.110
Ca 0.669 0.000 0.669
Ca 0.313 0.967 0.654
Mg 0.315 0.315 0.315
H 0.890 0.172 0.062
H 0.198 0.057 0.479
H 0.828 0.718 0.890
H 0.172 0.062 0.890
Ca 0.967 0.654 0.313
H 0.886 0.386 0.500
Mg 0.685 0.685 0.685
H 0.422 0.282 0.479
Ca 0.659 0.346 0.313
H 0.479 0.422 0.282
H 0.784 0.181 0.603
Mg 0.315 0.000 0.000
H 0.386 0.500 0.886
Mg 0.000 0.685 0.000
H 0.614 0.500 0.114
H 0.282 0.479 0.422
H 0.282 0.859 0.802
H 0.216 0.819 0.397
Mg 0.685 0.000 0.000
Ca 0.346 0.687 0.033
H 0.578 0.718 0.521
H 0.521 0.802 0.943
H 0.938 0.110 0.828
H 0.397 0.579 0.181
H 0.578 0.057 0.859

no.,density (g cm⁻³)
1,8.883
2,7.986
3,8.101
4,4.515
5,2.618
6,4.518
7,9.249
8,6.668
9,8.036
10,5.296
11,3.433
12,3.851
13,10.388
14,1.867